SnH12C2N6Cl6 | PBE | optimized geometry

final energy	-5.146	eV/atom
energy relative to the elements	-0.68	eV/atom
space group	C2/c (15)

Cell lengths 8.6906, 8.7687, 14.0931 Å; angles 78.81, 72.04, 60.29 degrees
With the nearest neighbours (Å) after each atom.
Fractional positions:
H1 0.0530 0.1492 0.8564  1 N 1.02
H2 0.7382 0.6473 0.3642  1 N 1.02
H3 0.4901 0.3189 0.1244  1 N 1.02
H4 0.7521 0.3164 0.1415  1 N 1.02
H5 0.5099 0.6811 0.8756  1 N 1.02
H6 0.7497 0.8527 0.1358  1 N 1.02
H7 0.2618 0.3527 0.6358  1 N 1.02
H8 0.4888 0.1213 0.1227  1 N 1.02
H9 0.2479 0.6836 0.8585  1 N 1.02
H10 0.0667 0.8189 0.6244  1 N 1.02
H11 0.0519 0.8827 0.8522  1 N 1.02
H12 0.9333 0.1811 0.3756  1 N 1.02
H13 0.9470 0.8508 0.1436  1 N 1.02
H14 0.7900 0.8164 0.6415  1 N 1.02
H15 0.7869 0.6173 0.6478  1 N 1.02
H16 0.7328 0.3787 0.3773  1 N 1.02
H17 0.0586 0.3508 0.6436  1 N 1.02
H18 0.5112 0.8787 0.8773  1 N 1.02
H19 0.2100 0.1836 0.3585  1 N 1.02
H20 0.2672 0.6213 0.6227  1 N 1.02
H21 0.2131 0.3827 0.3522  1 N 1.02
H22 0.2503 0.1473 0.8642  1 N 1.02
H23 0.9481 0.1173 0.1478  1 N 1.02
H24 0.9414 0.6492 0.3564  1 N 1.02
N1 0.1837 0.0793 0.8638  2 H 1.02
N2 0.5563 0.1853 0.1282  2 H 1.02
N3 0.8698 0.3147 0.3718  2 H 1.02
N4 0.1302 0.6853 0.6282  2 H 1.02
N5 0.1821 0.8169 0.8609  2 H 1.02
N6 0.8163 0.9207 0.1362  2 H 1.02
N7 0.1268 0.4207 0.6362  2 H 1.02
N8 0.4437 0.8147 0.8718  2 H 1.02
N9 0.8179 0.1831 0.1391  2 H 1.02
N10 0.8732 0.5793 0.3638  2 H 1.02
N11 0.8599 0.6831 0.6391  2 H 1.02
N12 0.1401 0.3169 0.3609  2 H 1.02
Cl1 0.0262 0.8709 0.3575  2 H 2.40-2.47, 1 Sn 2.49
Cl2 0.3409 0.3710 0.8586  2 H 2.43-2.44, 1 Sn 2.48
Cl3 0.9738 0.1291 0.6425  2 H 2.40-2.47, 1 Sn 2.49
Cl4 0.4288 0.4725 0.3551  2 H 2.38-2.45, 1 Sn 2.48
Cl5 0.6591 0.6290 0.1414  2 H 2.43-2.44, 1 Sn 2.48
Cl6 0.7454 0.3709 0.8575  2 H 2.40-2.47, 1 Sn 2.49
Cl7 0.5712 0.5275 0.6449  2 H 2.38-2.45, 1 Sn 2.48
Cl8 0.7435 0.9725 0.8551  2 H 2.38-2.45, 1 Sn 2.48
Cl9 0.5705 0.1290 0.6414  2 H 2.43-2.44, 1 Sn 2.48
Cl10 0.2565 0.0275 0.1449  2 H 2.38-2.45, 1 Sn 2.48
Cl11 0.2546 0.6291 0.1425  2 H 2.40-2.47, 1 Sn 2.49
Cl12 0.4295 0.8710 0.3586  2 H 2.43-2.44, 1 Sn 2.48
C1 0.7298 0.0967 0.1347  3 N 1.33-1.34
C2 0.9611 0.4033 0.3653  3 N 1.33-1.34
C3 0.0389 0.5967 0.6347  3 N 1.33-1.34
C4 0.2702 0.9033 0.8653  3 N 1.33-1.34
Sn1 0.3437 0.7500 0.2500  6 Cl 2.48-2.49
Sn2 0.6563 0.2500 0.7500  6 Cl 2.48-2.49